This record from the Materials Project database describes Y2U3S5O3 after structural relaxation. The functional is PBE.

Computed properties:
total moment	31.253	μB per cell
formation enthalpy at 0 K	-2644.7	meV/atom
VASP energy	-112.1	eV/f.u.

Cell lengths 13.981, 3.837, 18.748 Å; angles 90.00, 90.00, 90.00 degrees
Space group Pnma (No. 62)
Asymmetric unit:
Y (0.110, 0.250, 0.046)
Y (0.113, 0.250, 0.662)
U (0.102, 0.250, 0.436)
U (0.142, 0.750, 0.845)
U (0.152, 0.750, 0.271)
S (0.006, 0.750, 0.737)
S (0.015, 0.250, 0.911)
S (0.094, 0.750, 0.550)
S (0.213, 0.750, 0.984)
S (0.226, 0.250, 0.166)
O (0.068, 0.750, 0.379)
O (0.179, 0.250, 0.784)
O (0.196, 0.250, 0.335)